A geometry-optimized Sm3Mg21Sb16 structure. Source: the Materials Project, functional PBE-GGA.

Values from the calculation:
DFT formation energy (eV/atom): -0.544
Space group: P-3m1 (164)
Total energy after the MP2020 corrections (eV/atom): -3.3891
M_tot (μB per cell): 0.0

The structure in POSCAR format:
```
Sm3Mg21Sb16
1.0
2.3286 -4.0333 0.0000
2.3286 4.0333 0.0000
0.0000 0.0000 58.3038
Sm Mg Sb
3 21 16
direct
0.0000 0.0000 0.2500 Sm
0.0000 0.0000 0.0000 Sm
0.0000 0.0000 0.7500 Sm
0.0000 0.0000 0.1250 Mg
0.0000 0.0000 0.8750 Mg
0.0000 0.0000 0.6245 Mg
0.0000 0.0000 0.3755 Mg
0.3333 0.6667 0.2022 Mg
0.3333 0.6667 0.9522 Mg
0.3333 0.6667 0.7022 Mg
0.3333 0.6667 0.4527 Mg
0.6667 0.3333 0.0478 Mg
0.6667 0.3333 0.7978 Mg
0.6667 0.3333 0.5473 Mg
0.6667 0.3333 0.2978 Mg
0.0000 0.0000 0.5000 Mg
0.6667 0.3333 0.1680 Mg
0.6667 0.3333 0.9181 Mg
0.6667 0.3333 0.6681 Mg
0.6667 0.3333 0.4191 Mg
0.3333 0.6667 0.0819 Mg
0.3333 0.6667 0.8320 Mg
0.3333 0.6667 0.5809 Mg
0.3333 0.6667 0.3319 Mg
0.6667 0.3333 0.2190 Sb
0.6667 0.3333 0.9690 Sb
0.6667 0.3333 0.7192 Sb
0.6667 0.3333 0.4700 Sb
0.3333 0.6667 0.0310 Sb
0.3333 0.6667 0.7810 Sb
0.3333 0.6667 0.5300 Sb
0.3333 0.6667 0.2808 Sb
0.3333 0.6667 0.1524 Sb
0.3333 0.6667 0.9024 Sb
0.3333 0.6667 0.6529 Sb
0.3333 0.6667 0.4017 Sb
0.6667 0.3333 0.0976 Sb
0.6667 0.3333 0.8476 Sb
0.6667 0.3333 0.5983 Sb
0.6667 0.3333 0.3471 Sb
```